P:
Compound: TiSnO4
Source: Materials Project
Functional: PBE
Structure: optimized geometry

```
TiSnO4
1.0
3.351 -3.362 0.000
3.351 3.362 0.000
0.000 0.000 3.102
Ti Sn O
1 1 4
direct
0.000 0.000 0.000
0.500 0.500 0.500
0.186 0.814 0.500
0.297 0.297 0.000
0.703 0.703 0.000
0.814 0.186 0.500
```

Properties
Crystal system: orthorhombic
Theoretical density in g cm⁻³: 5.48

Q:
Compound: TiSnO4
Source: Materials Project
Functional: PBE
Structure: optimized geometry

```
TiSnO4
1.0
-1.947 1.947 5.176
1.947 -1.947 5.176
1.947 1.947 -5.176
Ti Sn O
1 1 4
direct
0.000 0.000 0.000
0.250 0.750 0.500
0.043 0.543 0.500
0.194 0.194 0.000
0.457 0.957 0.500
0.806 0.806 0.000
```

Properties
Crystal system: tetragonal
Maximum piezoelectric response in C/m2: 2.38
Theoretical density in g cm⁻³: 4.88

The data favor P; the next most stable structure lies 29 meV/atom above it.